1.
Entry from the Materials Project: crystalline Mn16Bi16O45 at its relaxed geometry (PBE with a Hubbard U).

Structure (extended XYZ):
```
154
Lattice="-8.0651 8.0651 8.0651 8.0651 -8.0651 8.0651 8.0651 8.0651 -8.0651" Properties=species:S:1:pos:R:3 pbc="T T T"
Mn 0.0000 12.0977 4.0302
Mn 8.0587 0.0065 -0.0065
Mn 12.0977 0.0023 0.0000
Mn 12.0912 -4.0261 4.0261
Mn 0.0065 0.0065 0.0065
Mn 4.0326 0.0104 0.0000
Mn 8.0651 4.0326 -0.0104
Mn 4.0326 4.0349 0.0000
Mn 0.0104 0.0000 4.0326
Mn 4.0349 0.0000 4.0326
Mn 12.0977 4.0302 0.0000
Mn 8.0628 0.0000 4.0326
Mn 12.0873 0.0000 4.0326
Mn 0.0000 4.0326 0.0104
Mn 0.0065 -0.0065 8.0587
Mn 4.0326 -0.0104 8.0651
Mn -0.0065 8.0587 0.0065
Mn 4.0261 12.0912 -4.0261
Mn 0.0000 4.0326 4.0349
Mn 4.0326 8.0628 0.0000
Mn 4.0391 4.0391 4.0391
Mn 8.0651 4.0326 4.0430
Mn 4.0326 12.0873 0.0000
Mn 4.0302 0.0000 12.0977
Mn 0.0000 12.0977 0.0023
Mn -0.0104 8.0651 4.0326
Mn 0.0000 4.0326 8.0628
Mn 4.0430 8.0651 4.0326
Mn 0.0023 0.0000 12.0977
Mn 4.0326 4.0430 8.0651
Mn -4.0261 4.0261 12.0912
Mn 0.0000 4.0326 12.0873
Bi 5.8360 2.2292 -2.2292
Bi -2.0945 6.1704 9.9545
Bi 9.8685 -1.8034 1.8034
Bi 10.0032 -5.9219 5.9274
Bi 6.1758 -5.9707 6.1704
Bi 6.1704 6.1758 -5.9707
Bi 2.2292 -2.2292 5.8360
Bi 6.1271 -2.1432 5.9274
Bi 5.9274 6.1271 -2.1432
Bi 9.9545 2.0945 1.8948
Bi 9.9545 -2.0945 6.1704
Bi 5.9274 10.0032 -5.9219
Bi 6.1271 2.1432 2.1378
Bi 2.2292 2.2292 2.2292
Bi 6.1704 9.9545 -2.0945
Bi 6.1758 5.9707 1.8948
Bi -2.2292 5.8360 2.2292
Bi 1.8034 9.8685 -1.8034
Bi 5.9707 1.8948 6.1758
Bi 10.0032 5.9219 2.1378
Bi 2.1432 2.1378 6.1271
Bi 2.1378 6.1271 2.1432
Bi -1.8034 1.8034 9.8685
Bi 2.0945 1.8948 9.9545
Bi -2.1432 5.9274 6.1271
Bi 1.8948 9.9545 2.0945
Bi 1.8948 6.1758 5.9707
Bi 5.9219 2.1378 10.0032
Bi -5.9707 6.1704 6.1758
Bi 6.2618 6.2618 6.2618
Bi 2.1378 10.0032 5.9219
Bi -5.9219 5.9274 10.0032
O 10.0423 -4.1932 4.4525
O 6.0880 -3.8719 4.4525
O 9.9395 4.6804 -4.0587
O 10.2234 0.0261 0.6478
O 3.9671 -0.7612 1.8960
O 8.0390 -0.6478 2.1582
O 7.9045 -6.0097 7.6452
O 7.6452 7.9045 -6.0097
O 8.0651 4.0326 -2.0481
O 12.0977 2.0163 0.0000
O 4.0326 2.0481 0.0000
O 12.8589 -0.0655 2.1366
O 11.4499 4.0065 -1.8744
O 4.6804 4.0587 -1.8744
O 4.4525 6.0880 -3.8719
O 7.3040 6.1692 -3.9671
O 8.2258 2.0555 0.4199
O 8.1307 -2.1366 4.7937
O 4.0587 -1.8744 4.6804
O 1.8960 3.9671 -0.7612
O 6.1692 -3.9671 7.3040
O 2.0481 0.0000 4.0326
O 6.0489 0.0000 4.0326
O 10.0496 0.0000 4.0326
O 6.1692 3.9671 0.7612
O 9.9611 4.0981 0.7612
O 4.0587 1.8744 3.3847
O 8.1307 2.1366 3.2714
O 8.2258 -2.0555 7.6452
O 4.4525 10.0423 -4.1932
O -0.7612 1.8960 3.9671
O 4.6804 -4.0587 9.9395
O 3.3847 4.0587 1.8744
O 4.7937 8.1306 -2.1366
O 4.0326 -2.0481 8.0651
O 4.0326 6.0489 0.0000
O 0.0000 4.0326 2.0481
O 7.6452 8.2258 -2.0555
O 7.9045 6.0097 0.4199
O 8.0390 0.6478 5.9069
O 3.9671 0.7612 6.1692
O 2.1582 8.0390 -0.6478
O 1.8744 3.3847 4.0587
O 6.0880 3.8719 3.6127
O 10.0423 4.1932 3.6127
O 6.0097 0.4199 7.9045
O 2.0555 0.4199 8.2258
O 5.9069 8.0390 0.6478
O -1.8744 4.6804 4.0587
O 7.9997 5.9286 3.2714
O 4.0065 -1.8744 11.4499
O 3.8719 3.6127 6.0880
O 3.6127 6.0880 3.8719
O 4.0326 10.0496 0.0000
O 0.0000 4.0326 6.0489
O 8.0651 4.0326 6.0807
O 0.7612 6.1692 3.9671
O -0.6478 2.1582 8.0390
O 0.6478 10.2234 0.0261
O 0.4199 8.2258 2.0555
O 3.2714 8.1306 2.1366
O -3.8719 4.4525 6.0880
O 4.0981 0.7612 9.9611
O 0.0261 0.6478 10.2234
O 5.9286 3.2714 7.9997
O 2.1366 3.2714 8.1306
O -2.0481 8.0651 4.0326
O 6.0807 8.0651 4.0326
O 2.0163 0.0000 12.0977
O 2.1366 12.8589 -0.0655
O -2.1366 4.7937 8.1307
O 8.0913 7.4173 5.9069
O -3.9671 7.3040 6.1692
O 4.1932 3.6127 10.0423
O 0.4199 7.9045 6.0097
O 3.2714 7.9997 5.9286
O 0.6478 5.9069 8.0390
O 7.4173 5.9069 8.0913
O 0.7612 9.9611 4.0981
O 0.0000 4.0326 10.0496
O 0.0000 12.0977 2.0163
O 4.0326 6.0807 8.0651
O 3.6127 10.0423 4.1932
O -4.1932 4.4525 10.0423
O -4.0587 9.9395 4.6804
O -0.0655 2.1366 12.8589
O -1.8744 11.4499 4.0065
O 5.9069 8.0913 7.4173
O -6.0097 7.6452 7.9045
O -2.0555 7.6452 8.2258
```

As for the formation energy: -137.99 eV/f.u.



2.
Entry from the Materials Project: crystalline MnBiO3 at its relaxed geometry (PBE with a Hubbard U).

Structure (extended XYZ):
```
20
Lattice="4.8424 -2.8414 0.0000 4.8424 2.8414 0.0000 -3.4936 0.0000 9.3533" Properties=species:S:1:pos:R:3 pbc="T T T"
Mn -0.1891 1.4081 7.0165
Mn 3.0957 1.5741 4.6767
Mn 1.5577 -1.4081 2.3399
Mn 4.8424 -1.5741 0.0000
Bi 3.0796 1.6327 1.1637
Bi 3.0686 1.6435 8.2162
Bi 1.3328 -1.6327 5.8403
Bi 4.8154 -1.6435 3.5395
O 1.6032 1.8112 6.2671
O -0.5811 0.1838 5.4955
O 1.1657 -0.1838 0.8188
O 4.6079 1.8184 3.0873
O 2.0723 0.3469 3.5431
O 0.3255 -0.3469 8.2198
O 4.1209 0.2829 5.7566
O 5.8677 -0.2829 1.0800
O 3.3500 -1.8112 1.5905
O 6.8595 0.2582 3.8764
O 5.1127 -0.2582 8.5530
O 2.8611 -1.8184 7.7640
```

As for the formation energy: -9.02 eV/f.u.



3.
Entry from the Materials Project: crystalline MnBiO3 at its relaxed geometry (PBE with a Hubbard U).

Structure (extended XYZ):
```
80
Lattice="15.8457 0.0000 0.0000 0.0000 5.6709 0.0000 0.0000 0.0000 11.4049" Properties=species:S:1:pos:R:3 pbc="T T T"
Mn 1.9727 0.0146 0.0000
Mn 1.9709 2.7805 2.8749
Mn 1.9821 2.8451 8.5736
Mn 1.9880 5.6450 5.7198
Mn 5.9348 0.0259 0.0173
Mn 5.9408 2.8257 2.8711
Mn 5.9520 2.8903 8.5774
Mn 5.9502 5.6563 5.7025
Mn 9.8937 2.8903 8.5774
Mn 9.8955 5.6563 5.7025
Mn 9.9109 0.0259 0.0173
Mn 9.9049 2.8257 2.8711
Mn 13.8637 2.8451 8.5736
Mn 13.8577 5.6450 5.7198
Mn 13.8731 0.0146 0.0000
Mn 13.8749 2.7805 2.8749
Bi 0.0000 0.2229 2.7412
Bi 0.0000 2.5069 5.7600
Bi 0.0000 3.0459 0.1845
Bi 0.0000 5.3488 8.5549
Bi 3.9000 5.3773 8.6019
Bi 3.9327 3.0623 5.6173
Bi 3.9901 2.6085 11.3198
Bi 4.0229 0.2935 2.8994
Bi 7.9229 0.3220 2.8524
Bi 7.9229 2.6250 5.8870
Bi 7.9229 3.1639 0.0575
Bi 7.9229 5.4479 8.4437
Bi 11.8228 0.2935 2.8994
Bi 11.8556 2.6085 11.3198
Bi 11.9130 3.0623 5.6173
Bi 11.9458 5.3773 8.6019
O 0.0000 0.2727 5.2961
O 0.0000 2.4921 3.3544
O 0.0000 3.1116 9.0316
O 0.0000 5.3376 10.9304
O 1.4784 1.2689 1.3939
O 1.5813 4.1084 1.4443
O 1.6502 4.3981 7.3509
O 1.7431 1.5561 6.9164
O 2.2192 4.0556 4.5401
O 2.3468 1.5989 10.0464
O 2.3598 1.2360 4.1084
O 2.4478 4.4204 10.0124
O 3.9280 0.3537 0.4589
O 3.9390 2.5435 2.4004
O 3.9839 3.1273 8.1029
O 3.9948 5.3171 6.1614
O 5.4751 1.2505 4.3099
O 5.5631 4.4348 9.8108
O 5.5761 4.0719 4.3439
O 5.7037 1.6153 10.2426
O 6.1798 4.1148 1.2139
O 6.2727 1.2728 1.6485
O 6.3416 1.5624 7.1467
O 6.4445 4.4020 7.0964
O 7.9229 0.3333 5.2279
O 7.9229 2.5592 3.3291
O 7.9229 3.1788 9.0568
O 7.9229 5.3981 10.9985
O 9.4012 4.4020 7.0964
O 9.5042 1.5624 7.1467
O 9.5731 1.2728 1.6485
O 9.6659 4.1148 1.2139
O 10.1421 1.6153 10.2426
O 10.2696 4.0719 4.3439
O 10.2827 4.4348 9.8108
O 10.3706 1.2505 4.3099
O 11.8509 5.3171 6.1614
O 11.8619 3.1273 8.1029
O 11.9067 2.5435 2.4004
O 11.9177 0.3537 0.4589
O 13.3980 4.4204 10.0124
O 13.4860 1.2360 4.1084
O 13.4990 1.5989 10.0464
O 13.6266 4.0556 4.5401
O 14.1027 1.5561 6.9164
O 14.1955 4.3981 7.3509
O 14.2645 4.1084 1.4443
O 14.3674 1.2689 1.3939
```

As for the formation energy: -9.00 eV/f.u.



4.
Entry from the Materials Project: crystalline MnBiO3 at its relaxed geometry (PBE with a Hubbard U).

Structure (extended XYZ):
```
40
Lattice="9.8166 0.0000 0.0000 0.0000 5.5782 0.0000 -3.6556 0.0000 9.3317" Properties=species:S:1:pos:R:3 pbc="T T T"
Mn 0.0000 0.0000 0.0000
Mn -1.8278 2.7891 4.6659
Mn -0.3504 0.1341 7.0754
Mn 1.4774 2.6550 2.4095
Mn 3.0805 0.0000 4.6659
Mn 4.9083 2.7891 0.0000
Mn 4.6836 2.9232 6.9222
Mn 6.5114 5.4441 2.2563
Bi -0.1051 0.1199 3.3460
Bi -1.9329 2.6692 8.0119
Bi 3.3495 0.1730 1.1586
Bi 1.5217 2.6161 5.8245
Bi 4.6393 2.9621 3.5073
Bi 2.8115 5.4051 8.1731
Bi 8.0939 2.9090 1.3198
Bi 6.2660 5.4583 5.9857
O 0.1985 1.3770 1.4840
O -1.6293 1.4121 6.1499
O 0.4456 4.1091 1.6093
O -1.3823 4.2581 6.2752
O -1.8274 0.3403 8.7889
O 0.0004 2.4488 4.1230
O 2.2618 0.9649 3.1338
O 0.4340 1.8242 7.7996
O 1.3909 0.3567 5.6787
O 3.2187 2.4324 1.0128
O 2.4640 3.7318 3.6976
O 0.6362 4.6355 8.3635
O 5.5248 0.9427 0.9683
O 3.6970 1.8464 5.6341
O 2.9423 3.1458 8.3189
O 4.7701 5.2215 3.6530
O 5.7270 3.7540 1.5321
O 3.8992 4.6133 6.1980
O 6.1605 3.1294 5.2087
O 7.9883 5.2379 0.5429
O 7.5432 1.3201 3.0565
O 5.7154 1.4690 7.7224
O 7.7903 4.1661 3.1819
O 5.9625 4.2012 7.8477
```

As for the formation energy: -9.04 eV/f.u.



5.
Entry from the Materials Project: crystalline Mn7BiO12 at its relaxed geometry (PBE with a Hubbard U).

Structure (extended XYZ):
```
20
Lattice="5.3717 -3.7612 0.0000 5.3717 3.7612 0.0000 -5.3586 0.0000 5.4249" Properties=species:S:1:pos:R:3 pbc="T T T"
Mn 0.0000 0.0000 0.0000
Mn 0.0507 1.8893 2.6826
Mn -2.6367 0.0000 2.7095
Mn 2.7054 0.0000 2.6428
Mn 2.6547 1.8202 5.4062
Mn 0.0507 -1.8893 2.6826
Mn 2.6547 -1.8202 5.4062
Bi -0.2542 0.0000 5.3443
O 1.6971 2.4056 1.7671
O -1.5480 1.3001 3.7151
O 4.3613 2.3183 0.8650
O 0.9960 2.3229 4.5271
O 0.7410 0.0000 2.6314
O 2.8624 0.0000 0.6490
O -1.5480 -1.3001 3.7151
O 1.6971 -2.4056 1.7671
O 2.6058 0.0000 4.5989
O 4.6779 0.0000 2.5953
O 4.3613 -2.3183 0.8650
O 0.9960 -2.3229 4.5271
```

The energy above the most stable polymorph in this dataset is 0.00 kcal/mol of atoms. As for the formation energy: -38.74 eV/f.u.



6.
Entry from the Materials Project: crystalline Mn2Bi3O7 at its relaxed geometry (PBE with a Hubbard U).

Structure (extended XYZ):
```
24
Lattice="5.8506 0.0000 0.0000 0.0000 5.8247 0.0000 -2.7390 0.0000 10.2763" Properties=species:S:1:pos:R:3 pbc="T T T"
Mn -0.0625 0.0000 2.9660
Mn 0.0571 5.7932 7.3367
Mn 3.0544 2.8809 2.9395
Mn 3.1740 2.9123 7.3103
Bi 0.1301 2.7411 1.3095
Bi 0.6752 3.4592 5.1422
Bi 0.3039 2.7224 8.9379
Bi 2.8077 5.6347 1.3384
Bi 2.4364 0.5469 5.1340
Bi 2.9815 5.6534 8.9668
O -1.3288 1.3463 7.7519
O 0.5576 0.4030 0.7631
O -1.2097 4.3769 7.7614
O 0.2426 5.6688 5.0895
O 1.5629 4.2274 3.2228
O 1.6375 1.4198 3.2050
O 2.3391 3.3667 0.6839
O 0.7724 0.4543 9.5923
O 1.4740 4.3321 7.0713
O 1.5487 1.3150 7.0535
O 2.8689 2.7564 5.1867
O 4.3212 1.4646 2.5149
O 2.5539 3.3153 9.5131
O 4.4403 4.2586 2.5243
```

The energy above the most stable polymorph in this dataset is 0.00 kcal/mol of atoms. As for the formation energy: -20.70 eV/f.u.



7.
Entry from the Materials Project: crystalline MnBi2O5 at its relaxed geometry (PBE with a Hubbard U).

Structure (extended XYZ):
```
32
Lattice="7.3474 0.0000 0.0000 0.0000 9.7183 0.0000 0.0000 0.0000 6.5599" Properties=species:S:1:pos:R:3 pbc="T T T"
Mn 1.0510 1.1154 0.0000
Mn 2.6228 5.9745 0.0000
Mn 4.7247 3.7438 0.0000
Mn 6.2965 8.6030 0.0000
Bi 0.0000 4.8592 1.6052
Bi 0.0000 4.8592 4.9547
Bi 0.3184 8.0927 3.2799
Bi 3.3554 3.2335 3.2799
Bi 3.6737 0.0000 1.6052
Bi 3.6737 0.0000 4.9547
Bi 3.9921 6.4848 3.2799
Bi 7.0291 1.6256 3.2799
O 0.0000 0.0000 1.5704
O 0.0000 0.0000 4.9895
O 1.1316 3.9049 3.2799
O 1.2110 6.5832 1.6309
O 1.2110 6.5832 4.9290
O 1.2444 4.1221 0.0000
O 2.4293 8.9813 0.0000
O 2.4627 1.7240 1.6309
O 2.4627 1.7240 4.9290
O 2.5421 8.7641 3.2799
O 3.6737 4.8592 1.5704
O 3.6737 4.8592 4.9895
O 4.8053 0.9542 3.2799
O 4.8847 7.9943 1.6309
O 4.8847 7.9943 4.9290
O 4.9181 0.7370 0.0000
O 6.1031 5.5962 0.0000
O 6.1365 3.1351 1.6309
O 6.1365 3.1351 4.9290
O 6.2159 5.8134 3.2799
```

As for the formation energy: -11.99 eV/f.u.



8.
Entry from the Materials Project: crystalline Mn7BiO12 at its relaxed geometry (PBE with a Hubbard U).

Structure (extended XYZ):
```
20
Lattice="5.3502 -3.7790 0.0000 5.3502 3.7790 0.0000 -5.3460 0.0000 5.3861" Properties=species:S:1:pos:R:3 pbc="T T T"
Mn 0.0000 0.0000 0.0000
Mn -2.6730 0.0000 2.6930
Mn 2.6751 1.8895 0.0000
Mn 0.0021 1.8895 2.6930
Mn 2.6751 -1.8895 0.0000
Mn 0.0021 -1.8895 2.6930
Mn 5.3502 0.0000 0.0000
Bi 2.6772 0.0000 2.6930
O 1.7009 2.3281 1.7971
O 1.9625 0.0000 0.0226
O 0.1531 0.0000 1.9741
O 4.3012 1.3254 1.0000
O 1.0533 1.3254 4.3860
O 3.6535 2.3281 3.5890
O 1.7009 -2.3281 1.7971
O 4.3012 -1.3254 1.0000
O 1.0533 -1.3254 4.3860
O 5.2014 0.0000 3.4120
O 3.3920 0.0000 5.3635
O 3.6535 -2.3281 3.5890
```

The energy above the most stable polymorph in this dataset is 0.07 kcal/mol of atoms. As for the formation energy: -38.69 eV/f.u.